! PBE+U V2ZnP2O8, relaxed; values from VASP
! Spin magnetization, μB per formula unit: 0.00
! DFT total energy, eV per atom: -7.1176
! ΔH_f (0 K), meV/atom: -2430
&SYSTEM
  ibrav = 0, nat = 52, ntyp = 4
/
ATOMIC_SPECIES
V 50.94 V.upf
Zn 65.41 Zn.upf
P 30.97 P.upf
O 16.00 O.upf
CELL_PARAMETERS angstrom
2.395 8.275 0.000
-2.395 8.275 0.000
0.000 7.945 15.595
ATOMIC_POSITIONS angstrom
V -1.047 14.032 8.334
V -1.047 14.436 15.058
V 1.047 10.463 7.261
V -1.198 8.110 7.797
V 1.047 10.059 0.536
V 0.838 10.261 3.899
V -0.838 14.234 11.696
V 1.198 4.137 0.000
Zn -0.862 10.794 10.321
Zn -0.862 17.674 13.071
Zn 0.862 6.821 2.524
Zn 0.862 13.701 5.273
P -1.025 16.961 9.888
P 1.376 15.635 13.731
P 1.025 7.533 5.706
P -1.376 11.662 5.933
P 1.025 12.989 2.091
P -1.025 11.506 13.504
P -1.376 8.860 1.864
P 1.376 12.833 9.661
O -0.408 7.031 6.046
O 0.694 11.562 9.060
O 0.408 11.004 13.843
O 1.227 14.450 14.757
O -0.485 15.501 6.949
O 0.746 15.410 12.368
O 1.227 14.018 8.635
O 1.862 11.876 5.790
O -1.227 10.045 0.837
O 0.694 16.905 14.332
O 1.060 9.083 5.597
O -0.806 5.407 3.353
O -0.694 12.933 6.535
O -1.862 15.849 13.587
O 0.408 17.464 9.549
O -1.060 15.412 9.998
O 0.806 9.380 11.151
O -1.227 10.477 6.960
O -1.060 13.055 13.394
O 0.806 19.088 12.242
O 1.862 8.646 2.008
O 0.485 19.474 14.746
O -1.862 12.619 9.805
O -0.746 11.437 4.570
O -0.694 7.589 1.263
O -0.408 13.491 1.752
O -0.806 15.115 4.444
O -0.485 5.021 0.849
O 0.485 8.994 8.646
O 0.746 13.058 11.025
O -0.746 9.085 3.227
O 1.060 11.440 2.200

=====

! PBE+U MgCu2Mo2O8, relaxed; values from VASP
! Spin magnetization, μB per formula unit: 0.00
! DFT total energy, eV per atom: -6.3542
! ΔH_f (0 K), meV/atom: -1802
! Energy relative to the lowest polymorph listed for this composition, meV/atom: 0
&SYSTEM
  ibrav = 0, nat = 52, ntyp = 4
/
ATOMIC_SPECIES
Mg 24.30 Mg.upf
Cu 63.55 Cu.upf
Mo 95.94 Mo.upf
O 16.00 O.upf
CELL_PARAMETERS angstrom
8.562 0.000 0.000
0.000 6.747 0.000
0.000 0.255 12.326
ATOMIC_POSITIONS angstrom
Mg 7.184 5.997 0.617
Mg 1.378 1.006 11.709
Mg 2.903 0.878 5.546
Mg 5.660 6.124 6.780
Cu 7.008 1.796 10.728
Cu 8.095 4.352 7.670
Cu 0.468 2.651 4.657
Cu 1.555 5.206 1.598
Cu 5.836 1.669 4.565
Cu 4.749 4.224 1.506
Cu 2.727 5.334 7.761
Cu 3.813 2.778 10.820
Mo 4.627 6.272 10.424
Mo 8.217 6.145 4.261
Mo 7.844 2.651 1.626
Mo 0.346 0.858 8.065
Mo 0.719 4.352 10.700
Mo 3.562 4.224 4.537
Mo 5.000 2.778 7.789
Mo 3.935 0.730 1.902
O 6.556 6.556 4.919
O 8.446 2.439 7.372
O 3.661 5.645 5.759
O 7.942 1.230 0.404
O 6.288 6.684 11.082
O 2.007 0.446 7.407
O 7.633 6.376 7.559
O 0.900 3.356 1.691
O 3.381 3.483 7.854
O 1.121 4.853 8.988
O 5.403 2.276 9.501
O 7.662 3.647 10.635
O 0.930 0.626 4.767
O 3.917 0.899 3.710
O 6.101 4.119 7.212
O 6.742 3.991 1.048
O 8.198 5.976 2.453
O 5.182 3.519 4.472
O 4.646 6.104 8.616
O 4.901 1.357 6.567
O 4.398 2.311 1.209
O 7.441 2.149 3.338
O 2.275 0.319 1.244
O 5.211 6.249 1.396
O 0.620 5.773 11.922
O 1.820 3.011 11.278
O 0.117 4.564 4.955
O 4.164 4.691 11.118
O 3.352 0.753 10.930
O 2.461 2.884 5.115
O 3.160 4.726 2.825
O 0.365 1.026 9.873

=====

! PBE+U Li9Co7O16, relaxed; values from VASP
! Spin magnetization, μB per formula unit: 0.03
! DFT total energy, eV per atom: -5.5615
! ΔH_f (0 K), meV/atom: -1697
! Energy relative to the lowest polymorph listed for this composition, meV/atom: 58
&SYSTEM
  ibrav = 0, nat = 32, ntyp = 3
/
ATOMIC_SPECIES
Li 6.94 Li.upf
Co 58.93 Co.upf
O 16.00 O.upf
CELL_PARAMETERS angstrom
-6.493 0.118 -0.426
-3.768 -3.490 -3.997
-5.558 -7.671 3.510
ATOMIC_POSITIONS angstrom
Li -3.295 -3.621 -1.151
Li -10.464 -6.357 -1.562
Li -4.640 -1.839 0.612
Li -5.354 -4.686 0.649
Li -11.178 -9.204 -1.525
Li -12.524 -7.422 0.238
Li -2.573 -0.847 -1.108
Li -13.245 -10.196 0.195
Li -5.130 -1.686 -2.211
Co 0.000 0.000 0.000
Co -7.153 -2.672 -0.481
Co -7.909 -5.521 -0.456
Co -8.665 -8.371 -0.431
Co -5.818 -4.440 -2.231
Co -2.779 -3.836 1.755
Co -10.000 -6.603 1.318
O -10.391 -4.783 -3.097
O -7.463 -4.213 0.919
O -5.340 -3.248 -0.793
O -6.082 -6.042 -0.892
O -8.055 -6.938 0.864
O -13.225 -8.624 -1.378
O -8.755 -9.896 0.804
O -10.229 -7.944 2.735
O -2.593 -2.419 0.466
O -9.737 -5.000 -0.021
O -7.763 -4.105 -1.776
O -8.355 -6.830 -1.831
O -10.478 -7.794 -0.120
O -5.427 -6.260 2.184
O -5.589 -3.099 -3.648
O -7.063 -1.147 -1.716

=====

! PBE+U LiFeSi4O10, relaxed; values from VASP
! Spin magnetization, μB per formula unit: 5.00
! DFT total energy, eV per atom: -7.4672
! ΔH_f (0 K), meV/atom: -2940
! Energy relative to the lowest polymorph listed for this composition, meV/atom: 0
&SYSTEM
  ibrav = 0, nat = 32, ntyp = 4
/
ATOMIC_SPECIES
Li 6.94 Li.upf
Fe 55.84 Fe.upf
Si 28.09 Si.upf
O 16.00 O.upf
CELL_PARAMETERS angstrom
5.259 0.000 0.000
0.000 7.855 0.000
0.000 4.673 11.142
ATOMIC_POSITIONS angstrom
Li 1.336 7.432 8.357
Li 3.923 5.096 2.786
Fe 3.963 7.432 8.357
Fe 1.296 5.096 2.786
Si 2.520 8.574 5.572
Si 0.105 4.644 7.216
Si 0.105 10.220 9.497
Si 2.520 6.290 11.141
Si 2.739 6.237 0.001
Si 5.153 2.308 1.645
Si 5.153 7.883 3.926
Si 2.739 3.954 5.570
O 2.629 2.337 5.571
O 2.705 7.985 7.077
O 5.223 6.129 7.865
O 4.230 4.401 6.065
O 1.604 4.554 6.577
O 5.223 8.735 8.848
O 2.705 6.879 9.637
O 5.178 3.505 8.357
O 1.604 10.310 10.137
O 1.028 2.065 0.494
O 4.230 10.463 10.648
O 3.655 2.218 1.005
O 2.629 0.000 0.000
O 0.081 1.168 2.786
O 2.554 5.649 1.505
O 0.036 3.792 2.294
O 3.655 7.973 4.566
O 1.028 8.127 5.077
O 0.036 6.399 3.277
O 2.554 4.543 4.066

=====

! PBE+U Fe2MoC10Se2O10, relaxed; values from VASP
! Spin magnetization, μB per formula unit: 0.00
! DFT total energy, eV per atom: -7.0779
! ΔH_f (0 K), meV/atom: -600
&SYSTEM
  ibrav = 0, nat = 50, ntyp = 5
/
ATOMIC_SPECIES
Fe 55.84 Fe.upf
Mo 95.94 Mo.upf
C 12.01 C.upf
Se 78.96 Se.upf
O 16.00 O.upf
CELL_PARAMETERS angstrom
6.889 0.000 0.000
0.759 9.479 0.000
1.869 1.813 13.580
ATOMIC_POSITIONS angstrom
Fe 2.481 0.525 3.712
Fe 7.037 10.767 9.869
Fe 6.132 7.529 8.615
Fe 3.386 3.764 4.965
Mo 6.281 8.395 11.326
Mo 3.236 2.898 2.254
C 5.325 2.686 10.524
C 1.761 2.476 0.889
C 7.013 6.508 11.672
C 7.799 1.895 10.663
C 2.500 5.339 4.996
C 7.756 8.817 12.691
C 4.979 4.603 5.114
C 2.504 4.785 1.908
C 5.312 9.691 12.593
C 4.193 8.606 3.056
C 4.205 1.602 0.987
C 6.522 1.894 8.224
C 6.334 8.022 6.925
C 4.941 3.961 1.866
C 3.183 3.271 6.655
C 4.539 6.689 8.467
C 2.995 9.399 5.356
C 4.576 7.332 11.714
C 1.718 9.398 2.917
C 7.018 5.953 8.584
Se 5.030 9.545 9.342
Se 4.487 1.748 4.238
Se 8.095 8.650 9.464
Se 1.422 2.643 4.116
O 2.868 9.029 6.447
O 7.392 5.436 11.905
O 3.066 2.944 7.762
O 3.531 6.135 8.323
O 8.599 9.076 13.444
O 6.649 2.264 7.133
O 3.607 6.722 11.909
O 1.884 2.288 11.146
O 4.765 10.399 13.334
O 0.918 2.217 0.136
O 7.633 9.005 2.434
O 4.753 0.894 0.247
O 2.125 5.857 1.676
O 5.986 5.158 5.257
O 4.759 3.622 10.907
O 1.955 6.362 5.026
O 6.452 8.348 5.818
O 5.910 4.571 1.671
O 4.758 7.671 2.674
O 7.562 4.930 8.554

=====

! PBE+U CaMo4O9, relaxed; values from VASP
! Spin magnetization, μB per formula unit: 8.00
! DFT total energy, eV per atom: -6.9670
! ΔH_f (0 K), meV/atom: -1901
&SYSTEM
  ibrav = 0, nat = 28, ntyp = 3
/
ATOMIC_SPECIES
Ca 40.08 Ca.upf
Mo 95.94 Mo.upf
O 16.00 O.upf
CELL_PARAMETERS angstrom
8.804 0.000 0.000
0.000 8.804 0.000
0.000 0.000 5.079
ATOMIC_POSITIONS angstrom
Ca 0.000 4.402 4.071
Ca 4.402 0.000 1.007
Mo 6.194 3.499 1.668
Mo 3.499 2.610 3.410
Mo 7.901 7.012 1.668
Mo 1.792 7.901 3.410
Mo 2.610 5.305 1.668
Mo 0.903 1.792 1.668
Mo 7.012 0.903 3.410
Mo 5.305 6.194 3.410
O 4.402 4.402 2.539
O 0.000 0.000 2.539
O 4.799 6.654 0.006
O 6.552 0.397 0.006
O 2.252 8.407 0.006
O 4.005 2.150 0.006
O 8.407 6.552 5.073
O 6.654 4.005 5.073
O 2.150 4.799 5.073
O 0.397 2.252 5.073
O 1.788 3.434 2.531
O 0.968 6.190 2.531
O 7.836 2.614 2.531
O 7.016 5.370 2.531
O 6.190 7.836 2.547
O 3.434 7.016 2.547
O 5.370 1.788 2.547
O 2.614 0.968 2.547